The following is a DFT calculation (PBE) of a relaxed Cs2MnFeC6N6 crystal.

The structure in POSCAR format:
```
Cs2MnFeC6N6
1.0
-3.7219 2.3357 5.6039
-6.8814 1.6747 -0.7437
-5.0069 -4.1351 2.9228
Mn N C Cs Fe
1 6 6 2 1
Direct
0.5000 0.5000 0.5000 Mn
0.3052 0.6948 0.6948 N
0.3052 0.3052 0.6948 N
0.6948 0.6948 0.3052 N
0.6948 0.3052 0.6948 N
0.3052 0.6948 0.3052 N
0.6948 0.3052 0.3052 N
0.1878 0.8122 0.1878 C
0.8122 0.8122 0.1878 C
0.8122 0.1878 0.1878 C
0.1878 0.1878 0.8122 C
0.1878 0.8122 0.8122 C
0.8122 0.1878 0.8122 C
0.7500 0.7500 0.7500 Cs
0.2500 0.2500 0.2500 Cs
0.0000 0.0000 0.0000 Fe
```

Calculated values
Formation enthalpy at 0 K in eV/atom: -0.276